A) First-principles (GGA-PBE) data for a geometry-optimized BaH4O3 structure, as listed in the Materials Project.

Output
SG = Pmc2_1
Calculated density = 3.53 Mg/m³
Piezoelectric modulus e_max = 0.270 C/m²

a = 3.938 Å, b = 6.419 Å, c = 7.043 Å
α = 90.00°, β = 90.00°, γ = 90.00°
Sites, in units of the cell vectors:
H1 0.799 0.124 0.813
H2 0.201 0.876 0.313
H3 0.500 0.984 0.593
H4 0.500 0.016 0.093
H5 0.799 0.876 0.313
H6 0.201 0.124 0.813
H7 0.500 0.305 0.602
H8 0.500 0.695 0.102
O1 0.500 0.967 0.730
O2 0.500 0.436 0.531
O3 0.000 0.794 0.363
O4 0.000 0.206 0.863
O5 0.500 0.033 0.230
O6 0.500 0.564 0.031
Ba1 0.000 0.357 0.247
Ba2 0.000 0.643 0.747

B) First-principles (GGA-PBE) data for a geometry-optimized BaH4O3 structure, as listed in the Materials Project.

Output
Magnetic moment = 0.00 μB per formula unit
SG = P1
Calculated density = 3.44 Mg/m³

a = 4.176 Å, b = 6.440 Å, c = 7.207 Å
α = 70.63°, β = 89.39°, γ = 89.32°
Sites, in units of the cell vectors:
O1 0.248 0.389 0.379
O2 0.751 0.171 0.307
O3 0.267 0.819 0.689
O4 0.243 0.200 0.936
O5 0.757 0.800 0.064
O6 0.756 0.598 0.614
H1 0.248 0.351 0.937
H2 0.441 0.315 0.339
H3 0.056 0.319 0.338
H4 0.750 0.233 0.168
H5 0.250 0.767 0.832
H6 0.752 0.649 0.063
H7 0.949 0.660 0.659
H8 0.559 0.685 0.661
Ba1 0.251 0.865 0.282
Ba2 0.749 0.135 0.718

Most stable: A) (next structure +1.4 kJ/mol of atoms)